Record 1
DFT (r²SCAN) results for a relaxed structure of VF5.

ΔH_f (0 K): -2.792 eV/atom
total moment: 0.000 μB/f.u.
E: -185.9 eV per cell
crystal system: orthorhombic

Cell and atoms, written as extended XYZ:
```
24
Lattice="-1.011 -3.668 -2.838 -4.698 -3.170 5.771 -7.536 4.789 -3.504" Properties=species:S:1:pos:R:3 pbc="T T T"
F -7.285 -0.303 -1.195
F -6.139 -0.511 2.658
F -3.160 1.477 -0.995
F -6.546 -3.300 3.003
F -4.247 -0.585 -1.511
F -3.787 -0.228 1.268
F -1.297 0.293 -0.129
F -8.998 -1.465 0.940
F -2.363 -1.782 -0.635
F -7.107 -1.539 -3.230
F -5.960 -1.746 0.623
F -8.991 -0.341 -4.106
F -6.700 1.251 -3.575
F -10.882 -0.267 0.064
F -11.949 -2.342 -0.442
F -9.459 -1.821 -1.840
F -10.086 -3.526 0.424
F -4.098 -2.930 1.489
F -9.148 0.880 -2.061
F -4.255 -1.708 3.534
V -10.663 -1.898 0.644
V -8.402 -0.633 -2.489
V -4.844 -1.416 1.917
V -2.583 -0.151 -1.216
```

=====

Record 2
DFT (r²SCAN) results for a relaxed structure of Er5Sb3.

ΔH_f (0 K): -1.008 eV/atom
total moment: 0.003 μB/f.u.
E: -509.6 eV per cell
crystal system: hexagonal

Cell and atoms, written as extended XYZ:
```
16
Lattice="-8.220 0.033 3.297 2.423 -6.246 -5.792 1.874 -3.640 4.710" Properties=species:S:1:pos:R:3 pbc="T T T"
Er -3.895 -5.588 -0.701
Er -0.187 -5.973 -0.408
Er -4.782 -2.706 6.014
Er -1.124 -4.153 -2.763
Er 3.230 -7.432 -0.828
Er -0.027 -4.266 2.915
Er 1.068 -2.454 -0.254
Er -1.563 -0.902 1.992
Er -3.735 -3.880 2.622
Er -4.672 -2.060 0.267
Sb 2.347 -5.156 1.283
Sb -2.139 -6.530 2.006
Sb -1.783 -3.324 0.208
Sb 1.951 -4.730 -2.365
Sb -4.559 -0.890 3.194
Sb -1.787 -2.718 4.813
```

=====

Record 3
DFT (r²SCAN) results for a relaxed structure of Ce2Al9Rh3.

ΔH_f (0 K): -0.847 eV/atom
total moment: 1.202 μB/f.u.
E: -413.1 eV per cell
crystal system: orthorhombic

Cell and atoms, written as extended XYZ:
```
28
Lattice="3.832 -6.558 0.000 3.832 6.558 0.000 0.000 0.000 9.432" Properties=species:S:1:pos:R:3 pbc="T T T"
Al 5.100 0.000 4.288
Al 3.411 -1.350 2.358
Al 2.563 0.000 9.004
Al 5.100 0.000 0.428
Al 6.364 2.177 8.726
Al 6.364 -2.177 5.421
Al 6.364 -2.177 8.726
Al 4.252 1.350 7.074
Al 3.411 1.350 2.358
Al 1.300 2.177 4.010
Al 1.300 2.177 0.706
Al 1.300 -2.177 4.010
Al 1.004 0.000 2.358
Al 2.563 0.000 5.143
Al 1.300 -2.177 0.706
Al 6.364 2.177 5.421
Al 6.659 0.000 7.074
Al 4.252 -1.350 7.074
Rh 0.000 0.000 0.000
Rh 0.000 0.000 4.716
Rh 3.832 2.252 4.716
Rh 3.832 -2.252 4.716
Rh 3.832 2.252 0.000
Rh 3.832 -2.252 0.000
Ce 6.392 -2.133 2.358
Ce 1.271 -2.133 7.074
Ce 1.271 2.133 7.074
Ce 6.392 2.133 2.358
```

=====

Record 4
DFT (r²SCAN) results for a relaxed structure of ScZnNi2.

ΔH_f (0 K): -0.382 eV/atom
total moment: 0.000 μB/f.u.
E: -45.8 eV per cell
crystal system: cubic

Cell and atoms, written as extended XYZ:
```
4
Lattice="-1.085 -3.762 -1.609 -1.922 -2.872 2.444 -4.079 -0.932 -0.638" Properties=species:S:1:pos:R:3 pbc="T T T"
Sc -1.772 -1.891 0.049
Zn -5.315 -5.674 0.148
Ni -3.543 -3.783 0.099
Ni 0.000 0.000 0.000
```

=====

Record 5
DFT (r²SCAN) results for a relaxed structure of KY2Cl7.

ΔH_f (0 K): -2.497 eV/atom
total moment: 0.000 μB/f.u.
E: -458.7 eV per cell
crystal system: monoclinic

Cell and atoms, written as extended XYZ:
```
40
Lattice="-7.829 -9.568 2.430 5.385 -3.949 1.798 -1.159 4.028 12.126" Properties=species:S:1:pos:R:3 pbc="T T T"
Cl -0.914 3.021 10.709
Cl -2.773 -7.798 4.645
Cl -2.417 -11.176 8.652
Cl -0.219 -2.347 2.159
Cl -0.343 -9.957 5.602
Cl -3.169 -3.897 12.957
Cl -5.038 -10.326 4.642
Cl -5.102 -8.982 7.673
Cl -0.991 -4.849 6.583
Cl -0.434 -5.591 3.398
Cl -3.351 -3.681 2.492
Cl -3.260 0.469 10.753
Cl 1.434 0.838 11.713
Cl -0.831 -1.691 11.710
Cl 0.879 -2.325 5.296
Cl -1.661 -8.845 11.894
Cl -1.811 -1.571 8.537
Cl -2.612 -4.640 9.772
Cl -3.385 -7.142 14.196
Cl 0.223 -6.226 10.625
Cl -4.482 -7.164 11.059
Cl -1.187 1.687 7.703
Cl -1.942 -0.643 4.460
Cl -2.690 -12.509 5.646
Cl -0.253 -5.808 13.863
Cl 1.499 -0.507 8.682
Cl -1.792 -7.918 7.818
Cl -3.827 -3.262 5.730
Y -2.137 -6.165 11.975
Y -3.290 -2.251 10.786
Y 0.625 -0.189 3.688
Y -0.314 -7.238 5.569
Y -2.962 -9.896 6.348
Y -4.229 -9.300 12.667
Y -1.467 -3.324 4.380
Y -0.641 0.407 10.007
K 2.579 -4.916 2.342
K -4.898 -5.725 7.731
K -6.182 -4.572 14.013
K 1.294 -3.763 8.624
```

=====

Record 6
DFT (r²SCAN) results for a relaxed structure of Na3FeS3.

ΔH_f (0 K): -1.076 eV/atom
total moment: 4.999 μB/f.u.
E: -227.0 eV per cell
crystal system: monoclinic

Cell and atoms, written as extended XYZ:
```
28
Lattice="6.830 0.000 0.000 0.000 7.103 0.131 0.000 7.035 12.762" Properties=species:S:1:pos:R:3 pbc="T T T"
Na 3.505 12.609 11.682
Na 6.741 9.092 5.301
Na 6.646 8.635 9.184
Na 6.736 1.181 1.427
Na 3.509 4.699 7.808
Na 3.600 5.117 2.803
Na 0.094 12.956 11.466
Na 0.090 5.046 7.592
Na 3.321 9.439 5.085
Na 3.231 9.020 10.090
Na 3.326 1.528 1.211
Na 0.184 5.503 3.709
S 4.998 7.587 3.570
S 5.121 4.386 5.431
S 2.017 6.528 5.551
S 1.832 6.550 9.323
S 1.583 3.033 2.942
S 5.247 11.105 9.951
S 1.706 6.234 1.081
S 4.813 7.610 7.342
S 5.124 7.904 11.812
S 1.709 9.751 7.462
S 5.432 4.092 0.961
S 1.398 10.045 11.932
Fe 4.362 6.478 5.392
Fe 0.947 4.142 1.120
Fe 5.883 9.996 11.773
Fe 2.468 7.659 7.500
```

=====

Record 7
DFT (r²SCAN) results for a relaxed structure of RbLiBr2.

ΔH_f (0 K): -1.879 eV/atom
total moment: 0.000 μB/f.u.
E: -100.7 eV per cell
crystal system: orthorhombic

Cell and atoms, written as extended XYZ:
```
8
Lattice="0.190 -4.367 0.215 4.338 0.498 6.269 -6.311 2.125 4.198" Properties=species:S:1:pos:R:3 pbc="T T T"
Rb -3.554 0.081 4.780
Rb 1.771 -1.824 5.902
Li -0.246 0.112 2.489
Li -1.537 -1.856 8.193
Br -0.549 0.338 7.335
Br 2.169 0.249 3.134
Br -1.234 -2.081 3.347
Br 0.000 0.000 0.000
```

=====

Record 8
DFT (r²SCAN) results for a relaxed structure of RbReCl4.

ΔH_f (0 K): -1.262 eV/atom
total moment: 0.000 μB/f.u.
E: -591.1 eV per cell
crystal system: orthorhombic

Cell and atoms, written as extended XYZ:
```
36
Lattice="5.302 -7.497 0.000 5.302 7.497 0.000 0.000 0.000 12.274" Properties=species:S:1:pos:R:3 pbc="T T T"
Cl 3.015 1.741 3.069
Cl 2.273 -2.950 4.645
Cl 7.588 -1.741 9.206
Cl 8.330 -2.950 1.493
Cl 8.330 2.950 10.782
Cl 5.302 2.200 5.503
Cl 8.330 -2.950 4.645
Cl 2.273 2.950 10.782
Cl 5.302 -6.407 9.206
Cl 3.015 -1.741 9.206
Cl 5.302 -2.200 11.640
Cl 7.588 1.741 3.069
Cl 2.273 2.950 7.630
Cl 5.302 6.407 3.069
Cl 2.273 -2.950 1.493
Cl 5.302 5.594 6.556
Cl 8.330 2.950 7.630
Cl 5.302 0.410 9.206
Cl 5.302 -0.410 3.069
Cl 5.302 -2.200 6.771
Cl 5.302 -5.594 0.419
Cl 5.302 2.200 0.634
Cl 5.302 -5.594 5.718
Cl 5.302 5.594 11.855
Rb 2.632 0.000 6.137
Rb 7.971 0.000 6.137
Rb 5.302 3.708 9.206
Rb 2.632 0.000 0.000
Rb 7.971 0.000 0.000
Rb 5.302 -3.708 3.069
Re 5.302 -4.315 10.429
Re 5.302 -4.315 7.983
Re 5.302 4.315 1.846
Re 5.302 2.191 3.069
Re 5.302 4.315 4.292
Re 5.302 -2.191 9.206
```